1.
The following is a DFT calculation (PBE-GGA) of a relaxed BaPrCu2O5 crystal.

a = 3.9233 Å, b = 7.9011 Å, c = 11.6939 Å
α = 90.00°, β = 90.00°, γ = 90.00°
With the nearest neighbours (Å) after each atom.
Space group Pmm2 (No. 25)
One atom of each set of equivalent atoms:
Ba  0.0000  0.0000  0.0000 [1 per cell]  10 O 2.73-2.98
Ba  0.0000  0.0000  0.3629 [1 per cell]  10 O 2.78-2.92
Ba  0.0000  0.5000  0.0086 [1 per cell]  12 O 2.85-3.06
Pr  0.0000  0.0000  0.6799 [1 per cell]  8 O 2.48-2.55
Pr  0.0000  0.5000  0.3350 [1 per cell]  8 O 2.54-2.70
Pr  0.0000  0.5000  0.6768 [1 per cell]  8 O 2.48-2.53
Cu  0.5000  0.2509  0.8351 [2 per cell]  5 O 1.99-2.16
Cu  0.5000  0.2528  0.5258 [2 per cell]  5 O 1.96-2.11
Cu  0.5000  0.2543  0.1807 [2 per cell]  5 O 1.89-1.97
O  0.0000  0.2449  0.1920 [2 per cell]  2 Cu 1.97
O  0.0000  0.2493  0.8091 [2 per cell]  2 Cu 1.99
O  0.0000  0.2533  0.5453 [2 per cell]  2 Cu 1.97
O  0.5000  0.0000  0.5468 [1 per cell]  2 Cu 2.01
O  0.5000  0.0000  0.8115 [1 per cell]  2 Cu 2.00
O  0.5000  0.2395  0.0193 [2 per cell]  1 Cu 1.89
O  0.5000  0.2655  0.3455 [2 per cell]  2 Cu 1.93-2.11
O  0.5000  0.5000  0.1964 [1 per cell]  2 Cu 1.95
O  0.5000  0.5000  0.5407 [1 per cell]  2 Cu 1.96
O  0.5000  0.5000  0.8096 [1 per cell]  2 Cu 1.99

Results
Calculated formation energy: -2.17 eV/atom
Total magnetic moment: 0.014 μB per atom


2.
The following is a DFT calculation (PBE-GGA) of a relaxed Ba4Pr2Cu6O13 crystal.

a = 7.8177 Å, b = 7.9530 Å, c = 24.0612 Å
α = 90.00°, β = 90.00°, γ = 90.00°
With the nearest neighbours (Å) after each atom.
Space group Fmmm (No. 69)
One atom of each set of equivalent atoms:
Ba  0.2436  0.0000  0.0944 [16 per cell]  9 O 2.75-2.97
Pr  0.2500  0.0000  0.2500 [8 per cell]  8 O 2.49-2.52
Cu  0.0000  0.2365  0.0000 [8 per cell]  3 O 1.83-1.88
Cu  0.0000  0.2485  0.3232 [16 per cell]  4 O 1.97-2.01
O  0.0000  0.0000  0.0000 [4 per cell]  2 Cu 1.88
O  0.0000  0.0000  0.1840 [8 per cell]  2 Cu 2.01
O  0.0000  0.0000  0.3144 [8 per cell]  2 Cu 1.99
O  0.0000  0.2298  0.4248 [16 per cell]  1 Cu 1.83
O  0.2500  0.2500  0.1859 [16 per cell]  2 Cu 1.97

Results
Calculated formation energy: -2.17 eV/atom
Total magnetic moment: 0.003 μB per atom


3.
The following is a DFT calculation (PBE-GGA) of a relaxed BaSrPrCu3O7 crystal.

a = 3.8262 Å, b = 3.9406 Å, c = 11.7488 Å
α = 90.00°, β = 90.00°, γ = 90.00°
With the nearest neighbours (Å) after each atom.
Space group Pmm2 (No. 25)
One atom of each set of equivalent atoms:
Ba  0.0000  0.0000  0.0000 [1 per cell]  10 O 2.76-3.03
Sr  0.0000  0.0000  0.6437 [1 per cell]  10 O 2.75-2.94
Pr  0.0000  0.0000  0.3264 [1 per cell]  8 O 2.47-2.50
Cu  0.5000  0.5000  0.1683 [1 per cell]  4 O 1.94-1.99
Cu  0.5000  0.5000  0.4840 [1 per cell]  5 O 1.94-2.09
Cu  0.5000  0.5000  0.8197 [1 per cell]  4 O 1.85-1.97
O  0.0000  0.5000  0.1955 [1 per cell]  2 Cu 1.94
O  0.0000  0.5000  0.4579 [1 per cell]  2 Cu 1.94
O  0.5000  0.0000  0.1934 [1 per cell]  2 Cu 1.99
O  0.5000  0.0000  0.4620 [1 per cell]  2 Cu 1.99
O  0.5000  0.0000  0.8118 [1 per cell]  2 Cu 1.97
O  0.5000  0.5000  0.6618 [1 per cell]  1 Cu 1.85
O  0.5000  0.5000  0.9792 [1 per cell]  1 Cu 1.87

Results
Calculated formation energy: -2.16 eV/atom
Total magnetic moment: 0.000 μB per atom


4.
The following is a DFT calculation (PBE-GGA) of a relaxed Ba4PrTmCu6O14 crystal.

a = 3.8623 Å, b = 3.9378 Å, c = 23.7487 Å
α = 90.00°, β = 90.00°, γ = 90.00°
With the nearest neighbours (Å) after each atom.
Space group Pmmm (No. 47)
One atom of each set of equivalent atoms:
Ba  0.0000  0.0000  0.1592 [2 per cell]  10 O 2.77-3.10
Ba  0.0000  0.0000  0.3395 [2 per cell]  10 O 2.77-3.01
Pr  0.0000  0.0000  0.5000 [1 per cell]  8 O 2.48-2.50
Tm  0.0000  0.0000  0.0000 [1 per cell]  8 O 2.39-2.41
Cu  0.5000  0.5000  0.0723 [2 per cell]  4 O 1.96-1.99
Cu  0.5000  0.5000  0.2496 [2 per cell]  4 O 1.88-1.97
Cu  0.5000  0.5000  0.4230 [2 per cell]  4 O 1.95-1.99
O  0.0000  0.5000  0.0584 [2 per cell]  2 Cu 1.96
O  0.0000  0.5000  0.4354 [2 per cell]  2 Cu 1.95
O  0.5000  0.0000  0.0591 [2 per cell]  2 Cu 1.99
O  0.5000  0.0000  0.2493 [2 per cell]  2 Cu 1.97
O  0.5000  0.0000  0.4346 [2 per cell]  2 Cu 1.99
O  0.5000  0.5000  0.1703 [2 per cell]  1 Cu 1.88
O  0.5000  0.5000  0.3286 [2 per cell]  1 Cu 1.88

Results
Calculated formation energy: -2.17 eV/atom
Total magnetic moment: 0.000 μB per atom


5.
The following is a DFT calculation (PBE-GGA) of a relaxed Ba10Pr2Y3Cu15O35 crystal.

a = 3.8810 Å, b = 3.9439 Å, c = 59.0876 Å
α = 90.00°, β = 90.00°, γ = 90.00°
With the nearest neighbours (Å) after each atom.
Space group Pmmm (No. 47)
One atom of each set of equivalent atoms:
Ba  0.0000  0.0000  0.0358 [2 per cell]  10 O 2.78-2.99
Ba  0.0000  0.0000  0.1642 [2 per cell]  10 O 2.78-3.00
Ba  0.0000  0.0000  0.2363 [2 per cell]  10 O 2.78-3.05
Ba  0.0000  0.0000  0.3637 [2 per cell]  10 O 2.78-3.05
Ba  0.0000  0.0000  0.4361 [2 per cell]  10 O 2.78-3.06
Pr  0.0000  0.0000  0.1000 [2 per cell]  8 O 2.48-2.50
Y  0.0000  0.0000  0.3001 [2 per cell]  8 O 2.41-2.44
Y  0.0000  0.0000  0.5000 [1 per cell]  8 O 2.42-2.44
Cu  0.5000  0.5000  0.0000 [1 per cell]  4 O 1.86-1.97
Cu  0.5000  0.5000  0.0689 [2 per cell]  4 O 1.96-1.99
Cu  0.5000  0.5000  0.1311 [2 per cell]  4 O 1.96-1.99
Cu  0.5000  0.5000  0.2002 [2 per cell]  4 O 1.87-1.97
Cu  0.5000  0.5000  0.2704 [2 per cell]  4 O 1.97-2.00
Cu  0.5000  0.5000  0.3296 [2 per cell]  4 O 1.97-2.00
Cu  0.5000  0.5000  0.4001 [2 per cell]  4 O 1.87-1.97
Cu  0.5000  0.5000  0.4704 [2 per cell]  4 O 1.97-2.00
O  0.0000  0.5000  0.0740 [2 per cell]  2 Cu 1.96
O  0.0000  0.5000  0.1261 [2 per cell]  2 Cu 1.96
O  0.0000  0.5000  0.2758 [2 per cell]  2 Cu 1.97
O  0.0000  0.5000  0.3242 [2 per cell]  2 Cu 1.97
O  0.0000  0.5000  0.4757 [2 per cell]  2 Cu 1.97
O  0.5000  0.0000  0.0000 [1 per cell]  2 Cu 1.97
O  0.5000  0.0000  0.0738 [2 per cell]  2 Cu 1.99
O  0.5000  0.0000  0.1263 [2 per cell]  2 Cu 1.99
O  0.5000  0.0000  0.2003 [2 per cell]  2 Cu 1.97
O  0.5000  0.0000  0.2756 [2 per cell]  2 Cu 2.00
O  0.5000  0.0000  0.3244 [2 per cell]  2 Cu 2.00
O  0.5000  0.0000  0.4000 [2 per cell]  2 Cu 1.97
O  0.5000  0.0000  0.4755 [2 per cell]  2 Cu 2.00
O  0.5000  0.5000  0.0315 [2 per cell]  1 Cu 1.86
O  0.5000  0.5000  0.1686 [2 per cell]  1 Cu 1.87
O  0.5000  0.5000  0.2319 [2 per cell]  1 Cu 1.87
O  0.5000  0.5000  0.3683 [2 per cell]  1 Cu 1.88
O  0.5000  0.5000  0.4318 [2 per cell]  1 Cu 1.87

Results
Calculated formation energy: -2.16 eV/atom
Total magnetic moment: 0.000 μB per atom


6.
The following is a DFT calculation (PBE-GGA) of a relaxed Ba10PrY4Cu15O35 crystal.

a = 3.8541 Å, b = 11.8743 Å, c = 19.6221 Å
α = 90.00°, β = 90.00°, γ = 90.00°
With the nearest neighbours (Å) after each atom.
Space group Pmmm (No. 47)
One atom of each set of equivalent atoms:
Ba  0.0000  0.1788  0.0000 [2 per cell]  10 O 2.77-3.09
Ba  0.0000  0.1801  0.2002 [4 per cell]  10 O 2.76-3.07
Ba  0.0000  0.1801  0.4000 [4 per cell]  10 O 2.76-3.07
Pr  0.0000  0.5000  0.0000 [1 per cell]  8 O 2.48-2.52
Y  0.0000  0.5000  0.2009 [2 per cell]  8 O 2.41-2.43
Y  0.0000  0.5000  0.4001 [2 per cell]  8 O 2.41-2.43
Cu  0.5000  0.0000  0.1001 [2 per cell]  4 O 1.87-1.96
Cu  0.5000  0.0000  0.3001 [2 per cell]  4 O 1.88-1.96
Cu  0.5000  0.0000  0.5000 [1 per cell]  4 O 1.88-1.96
Cu  0.5000  0.3476  0.1014 [4 per cell]  4 O 1.95-2.00
Cu  0.5000  0.3504  0.3003 [4 per cell]  4 O 1.96-1.99
Cu  0.5000  0.3503  0.5000 [2 per cell]  4 O 1.96-1.99
O  0.0000  0.3749  0.1036 [4 per cell]  2 Cu 1.95
O  0.0000  0.3788  0.3004 [4 per cell]  2 Cu 1.96
O  0.0000  0.3789  0.5000 [2 per cell]  2 Cu 1.96
O  0.5000  0.0000  0.0000 [1 per cell]  2 Cu 1.96
O  0.5000  0.0000  0.2002 [2 per cell]  2 Cu 1.96
O  0.5000  0.0000  0.4000 [2 per cell]  2 Cu 1.96
O  0.5000  0.1578  0.1003 [4 per cell]  1 Cu 1.87
O  0.5000  0.1583  0.3000 [4 per cell]  1 Cu 1.88
O  0.5000  0.1584  0.5000 [2 per cell]  1 Cu 1.88
O  0.5000  0.3688  0.0000 [2 per cell]  2 Cu 2.00
O  0.5000  0.3784  0.4001 [4 per cell]  2 Cu 1.99
O  0.5000  0.3787  0.2010 [4 per cell]  2 Cu 1.98-1.99

Results
Calculated formation energy: -2.18 eV/atom
Total magnetic moment: 0.002 μB per atom


7.
The following is a DFT calculation (PBE-GGA) of a relaxed Ba10Pr4YCu20O40 crystal.

a = 3.9329 Å, b = 137.3428 Å, c = 3.9362 Å
α = 90.00°, β = 90.00°, γ = 90.00°
With the nearest neighbours (Å) after each atom.
Space group Cmmm (No. 65)
One atom of each set of equivalent atoms:
Ba  0.0000  0.0273  0.0000 [4 per cell]  10 O 2.79-3.03
Ba  0.0000  0.1726  0.0000 [4 per cell]  10 O 2.79-2.97
Ba  0.0000  0.2274  0.0000 [4 per cell]  10 O 2.79-2.97
Ba  0.0000  0.3726  0.0000 [4 per cell]  10 O 2.79-2.97
Ba  0.0000  0.4274  0.0000 [4 per cell]  10 O 2.79-2.97
Pr  0.0000  0.2000  0.0000 [4 per cell]  8 O 2.50-2.51
Pr  0.0000  0.4000  0.0000 [4 per cell]  8 O 2.50-2.51
Y  0.0000  0.0000  0.0000 [2 per cell]  8 O 2.45
Cu  0.0000  0.0573  0.5000 [4 per cell]  4 O 1.84-1.97
Cu  0.0000  0.0872  0.5000 [4 per cell]  4 O 1.98
Cu  0.0000  0.1128  0.5000 [4 per cell]  4 O 1.98
Cu  0.0000  0.1426  0.5000 [4 per cell]  4 O 1.84-1.97
Cu  0.0000  0.2573  0.5000 [4 per cell]  4 O 1.85-1.97
Cu  0.0000  0.2872  0.5000 [4 per cell]  4 O 1.98
Cu  0.0000  0.3128  0.5000 [4 per cell]  4 O 1.98
Cu  0.0000  0.3427  0.5000 [4 per cell]  4 O 1.84-1.97
Cu  0.0000  0.4574  0.5000 [4 per cell]  4 O 1.85-1.97
Cu  0.0000  0.4875  0.5000 [4 per cell]  4 O 1.98
O  0.0000  0.0106  0.5000 [4 per cell]  2 Cu 1.98
O  0.0000  0.0436  0.5000 [4 per cell]  3 Cu 1.89-1.97
O  0.0000  0.0708  0.5000 [4 per cell]  1 Cu 1.84
O  0.0000  0.0887  0.0000 [4 per cell]  2 Cu 1.98
O  0.0000  0.1113  0.0000 [4 per cell]  2 Cu 1.98
O  0.0000  0.1292  0.5000 [4 per cell]  1 Cu 1.84
O  0.0000  0.1564  0.5000 [4 per cell]  3 Cu 1.89-1.97
O  0.0000  0.1888  0.5000 [4 per cell]  2 Cu 1.98
O  0.0000  0.2112  0.5000 [4 per cell]  2 Cu 1.98
O  0.0000  0.2436  0.5000 [4 per cell]  3 Cu 1.89-1.97
O  0.0000  0.2708  0.5000 [4 per cell]  1 Cu 1.85
O  0.0000  0.2887  0.0000 [4 per cell]  2 Cu 1.98
O  0.0000  0.3113  0.0000 [4 per cell]  2 Cu 1.98
O  0.0000  0.3292  0.5000 [4 per cell]  1 Cu 1.84
O  0.0000  0.3564  0.5000 [4 per cell]  3 Cu 1.89-1.97
O  0.0000  0.3888  0.5000 [4 per cell]  2 Cu 1.98
O  0.0000  0.4112  0.5000 [4 per cell]  2 Cu 1.98
O  0.0000  0.4436  0.5000 [4 per cell]  3 Cu 1.89-1.97
O  0.0000  0.4708  0.5000 [4 per cell]  1 Cu 1.85
O  0.0000  0.4893  0.0000 [4 per cell]  2 Cu 1.98

Results
Calculated formation energy: -2.03 eV/atom
Total magnetic moment: 0.000 μB per atom


8.
The following is a DFT calculation (PBE-GGA) of a relaxed Ba4PrYCu8O16 crystal.

a = 7.8337 Å, b = 3.9066 Å, c = 13.9915 Å
α = 90.00°, β = 98.01°, γ = 90.00°
With the nearest neighbours (Å) after each atom.
Space group P2/m (No. 10)
One atom of each set of equivalent atoms:
Ba  0.0677  0.0000  0.2713 [2 per cell]  10 O 2.78-3.03
Ba  0.4319  0.0000  0.7274 [2 per cell]  10 O 2.78-3.06
Pr  0.5000  0.0000  0.0000 [1 per cell]  8 O 2.50-2.51
Y  0.0000  0.0000  0.0000 [1 per cell]  8 O 2.40-2.43
Cu  0.1437  0.5000  0.5753 [2 per cell]  4 O 1.85-1.97
Cu  0.2163  0.5000  0.8745 [2 per cell]  4 O 1.96-1.99
Cu  0.2787  0.5000  0.1254 [2 per cell]  4 O 1.96-1.99
Cu  0.3559  0.5000  0.4247 [2 per cell]  4 O 1.85-1.97
O  0.0260  0.5000  0.1045 [2 per cell]  2 Cu 1.96
O  0.1096  0.5000  0.4386 [2 per cell]  3 Cu 1.89-1.97
O  0.1767  0.5000  0.7089 [2 per cell]  1 Cu 1.85
O  0.2143  0.0000  0.8929 [2 per cell]  2 Cu 1.97
O  0.2677  0.0000  0.1071 [2 per cell]  2 Cu 1.97
O  0.3232  0.5000  0.2911 [2 per cell]  1 Cu 1.85
O  0.3905  0.5000  0.5615 [2 per cell]  3 Cu 1.90-1.97
O  0.4721  0.5000  0.8874 [2 per cell]  2 Cu 1.99

Results
Calculated formation energy: -2.02 eV/atom
Total magnetic moment: 0.000 μB per atom